(1)
This record from Materials Project describes crystalline RhF6 at its relaxed geometry. The functional is r²SCAN.

Cell and atoms, written as CIF:
```
data_RhF6
_chemical_formula_sum 'Rh2 F12'
_space_group_name_H-M_alt 'I m -3 m'
_space_group_IT_number 229
_space_group_name_Hall '-I 4 2 3'
_cell_length_a 6.292
_cell_length_b 6.292
_cell_length_c 6.292
_cell_angle_alpha 90.00
_cell_angle_beta 90.00
_cell_angle_gamma 90.00
loop_
_atom_site_label
_atom_site_fract_x
_atom_site_fract_y
_atom_site_fract_z
_atom_site_occupancy
Rh1 0.000 0.000 0.000 1
F1 0.000 0.000 0.291 1
```

The calculation puts the total energy at -7.482 eV/atom. The energy of formation from the pure elements is -1.3542 eV per atom.


(2)
This record from Materials Project describes crystalline RhF6 at its relaxed geometry. The functional is r²SCAN.

Cell and atoms, written as CIF:
```
data_RhF6
_chemical_formula_sum 'Rh4 F24'
_space_group_name_H-M_alt 'P n m a'
_space_group_IT_number 62
_cell_length_a 9.183
_cell_length_b 8.424
_cell_length_c 4.865
_cell_angle_alpha 90.00
_cell_angle_beta 90.00
_cell_angle_gamma 90.00
loop_
_space_group_symop_operation_xyz
'x,y,z'
'-x,-y,-z'
'-x+1/2,-y,z+1/2'
'x+1/2,y,-z+1/2'
'x+1/2,-y+1/2,-z+1/2'
'-x+1/2,y+1/2,z+1/2'
'-x,y+1/2,-z'
'x,-y+1/2,z'
loop_
_atom_site_label
_atom_site_fract_x
_atom_site_fract_y
_atom_site_fract_z
_atom_site_occupancy
Rh1 0.129 0.250 0.082 1
F1 0.011 0.250 0.778 1
F2 0.015 0.096 0.241 1
F3 0.244 0.096 0.926 1
F4 0.247 0.250 0.388 1
```

The calculation puts the total energy at -7.506 eV/atom. The energy of formation from the pure elements is -1.3787 eV per atom.


(3)
This record from Materials Project describes crystalline Sr2RhF7 at its relaxed geometry. The functional is r²SCAN.

Cell and atoms, written as CIF:
```
data_Sr2RhF7
_chemical_formula_sum 'Sr8 Rh4 F28'
_space_group_name_H-M_alt 'P 1 21/c 1'
_space_group_IT_number 14
_cell_length_a 5.511
_cell_length_b 11.678
_cell_length_c 8.624
_cell_angle_alpha 90.00
_cell_angle_beta 90.69
_cell_angle_gamma 90.00
loop_
_space_group_symop_operation_xyz
'x,y,z'
'-x,-y,-z'
'-x,y+1/2,-z+1/2'
'x,-y+1/2,z+1/2'
loop_
_atom_site_label
_atom_site_fract_x
_atom_site_fract_y
_atom_site_fract_z
_atom_site_occupancy
Sr1 0.226 0.060 0.154 1
Sr2 0.234 0.708 0.055 1
Rh1 0.312 0.133 0.679 1
F1 0.012 0.227 0.712 1
F2 0.104 0.605 0.512 1
F3 0.132 0.515 0.175 1
F4 0.238 0.165 0.457 1
F5 0.385 0.554 0.874 1
F6 0.419 0.101 0.896 1
F7 0.485 0.724 0.313 1
```

The calculation puts the total energy at -10.887 eV/atom. The energy of formation from the pure elements is -3.2560 eV per atom.


(4)
This record from Materials Project describes crystalline ZnRhF6 at its relaxed geometry. The functional is r²SCAN.

Cell and atoms, written as CIF:
```
data_ZnRhF6
_chemical_formula_sum 'Zn3 Rh3 F18'
_space_group_name_H-M_alt 'R -3'
_space_group_IT_number 148
_space_group_name_Hall '-R 3'
_cell_length_a 4.9847
_cell_length_b 4.9847
_cell_length_c 13.6451
_cell_angle_alpha 90.00
_cell_angle_beta 90.00
_cell_angle_gamma 120.00
loop_
_atom_site_label
_atom_site_fract_x
_atom_site_fract_y
_atom_site_fract_z
_atom_site_occupancy
Zn1 0.0000 0.0000 0.0000 1
Rh1 0.0000 0.0000 0.5000 1
F1 0.0118 0.6498 0.2488 1
```

The calculation puts the total energy at -8.486 eV/atom. The energy of formation from the pure elements is -2.0104 eV per atom.


(5)
This record from Materials Project describes crystalline RuF6 at its relaxed geometry. The functional is r²SCAN.

Cell and atoms, written as CIF:
```
data_RuF6
_chemical_formula_sum 'Ru2 F12'
_space_group_name_H-M_alt 'I m -3 m'
_space_group_IT_number 229
_space_group_name_Hall '-I 4 2 3'
_cell_length_a 6.274
_cell_length_b 6.274
_cell_length_c 6.274
_cell_angle_alpha 90.00
_cell_angle_beta 90.00
_cell_angle_gamma 90.00
loop_
_atom_site_label
_atom_site_fract_x
_atom_site_fract_y
_atom_site_fract_z
_atom_site_occupancy
Ru1 0.000 0.000 0.000 1
F1 0.000 0.000 0.292 1
```

The calculation puts the total energy at -7.955 eV/atom. The energy of formation from the pure elements is -1.6430 eV per atom.


(6)
This record from Materials Project describes crystalline RuF4 at its relaxed geometry. The functional is r²SCAN.

Cell and atoms, written as CIF:
```
data_RuF4
_chemical_formula_sum 'Ru2 F8'
_space_group_name_H-M_alt 'P 1 21/c 1'
_space_group_IT_number 14
_cell_length_a 5.372
_cell_length_b 4.951
_cell_length_c 5.383
_cell_angle_alpha 90.00
_cell_angle_beta 117.59
_cell_angle_gamma 90.00
loop_
_space_group_symop_operation_xyz
'x,y,z'
'-x,-y,-z'
'-x,y+1/2,-z+1/2'
'x,-y+1/2,z+1/2'
loop_
_atom_site_label
_atom_site_fract_x
_atom_site_fract_y
_atom_site_fract_z
_atom_site_occupancy
Ru1 0.000 0.000 0.000 1
F1 0.118 0.167 0.375 1
F2 0.352 0.645 0.620 1
```

The calculation puts the total energy at -9.470 eV/atom. The energy of formation from the pure elements is -1.8843 eV per atom.